{"formula": "BaH2S4O6", "functional": "PBE", "state": "relaxed", "energy_mp2020_ev_per_atom": -5.419, "e_form_mev_per_atom": -1193, "dft_energy_ha_per_atom": -0.18751, "magnetic_moment_mub_per_cell": 8.00, "cell": [[5.792, 0.000, 0.000], [0.000, 9.784, 0.000], [-1.757, 0.000, 18.358]], "species": ["Ba", "Ba", "Ba", "Ba", "H", "H", "H", "H", "H", "H", "H", "H", "S", "S", "S", "S", "S", "S", "S", "S", "S", "S", "S", "S", "S", "S", "S", "S", "O", "O", "O", "O", "O", "O", "O", "O", "O", "O", "O", "O", "O", "O", "O", "O", "O", "O", "O", "O", "O", "O", "O", "O"], "fractional_positions": [[0.243, 0.091, 0.361], [0.243, 0.409, 0.861], [0.757, 0.591, 0.139], [0.757, 0.909, 0.639], [0.017, 0.127, 0.840], [0.017, 0.373, 0.340], [0.251, 0.056, 0.629], [0.251, 0.444, 0.129], [0.749, 0.556, 0.871], [0.749, 0.944, 0.371], [0.983, 0.627, 0.660], [0.983, 0.873, 0.160], [0.183, 0.601, 0.446], [0.183, 0.899, 0.946], [0.223, 0.709, 0.008], [0.223, 0.791, 0.508], [0.302, 0.701, 0.281], [0.302, 0.799, 0.781], [0.440, 0.602, 0.381], [0.440, 0.898, 0.881], [0.560, 0.102, 0.119], [0.560, 0.398, 0.619], [0.698, 0.201, 0.219], [0.698, 0.299, 0.719], [0.777, 0.209, 0.492], [0.777, 0.291, 0.992], [0.817, 0.101, 0.054], [0.817, 0.399, 0.554], [0.017, 0.185, 0.476], [0.017, 0.315, 0.976], [0.115, 0.615, 0.246], [0.115, 0.885, 0.746], [0.220, 0.662, 0.799], [0.220, 0.838, 0.299], [0.316, 0.608, 0.961], [0.316, 0.892, 0.461], [0.381, 0.735, 0.074], [0.381, 0.765, 0.574], [0.486, 0.200, 0.256], [0.486, 0.300, 0.756], [0.514, 0.700, 0.244], [0.514, 0.800, 0.744], [0.619, 0.235, 0.426], [0.619, 0.265, 0.926], [0.684, 0.108, 0.539], [0.684, 0.392, 0.039], [0.780, 0.162, 0.701], [0.780, 0.338, 0.201], [0.885, 0.115, 0.254], [0.885, 0.385, 0.754], [0.983, 0.685, 0.024], [0.983, 0.815, 0.524]]}